No. 1
Compound: Rb4CO4
Source: Materials Project
Functional: PBE
Structure: optimized geometry

Unit cell a=6.054 b=6.054 c=6.054 alpha=75.13 beta=75.13 gamma=75.13
Atoms (fractional coordinates):
1 Rb 0.000 0.000 0.000
2 Rb 0.397 0.397 0.911
3 Rb 0.397 0.911 0.397
4 Rb 0.911 0.397 0.397
5 C 0.776 0.776 0.776
6 O 0.600 0.921 0.921
7 O 0.668 0.668 0.668
8 O 0.921 0.600 0.921
9 O 0.921 0.921 0.600

Its space group is R3m (160). The value obtained for the formation energy is -1.479 eV/atom. The calculated volume is 203 Å³ per cell. The value obtained for the total energy is -43.50 eV/f.u.

---

No. 2
Compound: Rb4CO4
Source: Materials Project
Functional: PBE
Structure: optimized geometry

Unit cell a=6.498 b=5.085 c=5.085 alpha=83.89 beta=90.00 gamma=90.00
Atoms (fractional coordinates):
1 Rb 0.000 0.248 0.752
2 Rb 0.000 0.752 0.248
3 Rb 0.293 0.745 0.745
4 Rb 0.707 0.745 0.745
5 C 0.500 0.168 0.168
6 O 0.307 0.270 0.270
7 O 0.500 0.230 0.889
8 O 0.500 0.889 0.230
9 O 0.693 0.270 0.270

Its space group is Amm2 (38). The value obtained for the formation energy is -1.020 eV/atom. The calculated volume is 167 Å³ per cell. The value obtained for the total energy is -39.38 eV/f.u.

---

No. 3
Compound: Rb2CO3
Source: Materials Project
Functional: PBE
Structure: optimized geometry

Unit cell a=7.618 b=6.036 c=10.126 alpha=90.00 beta=90.00 gamma=90.00
Atoms (fractional coordinates):
1 Rb 0.035 0.250 0.230
2 Rb 0.192 0.250 0.580
3 Rb 0.308 0.750 0.080
4 Rb 0.465 0.750 0.730
5 Rb 0.535 0.250 0.270
6 Rb 0.692 0.250 0.920
7 Rb 0.808 0.750 0.420
8 Rb 0.965 0.750 0.770
9 C 0.248 0.750 0.415
10 C 0.252 0.250 0.915
11 C 0.748 0.750 0.085
12 C 0.752 0.250 0.585
13 O 0.178 0.750 0.534
14 O 0.218 0.062 0.856
15 O 0.218 0.438 0.856
16 O 0.282 0.562 0.356
17 O 0.282 0.938 0.356
18 O 0.322 0.250 0.034
19 O 0.678 0.750 0.966
20 O 0.718 0.062 0.644
21 O 0.718 0.438 0.644
22 O 0.782 0.562 0.144
23 O 0.782 0.938 0.144
24 O 0.822 0.250 0.466

Its space group is Pnma (62). The value obtained for the formation energy is -2.083 eV/atom. The calculated volume is 466 Å³ per cell. The value obtained for the total energy is -36.47 eV/f.u.

---

No. 4
Compound: Rb4CO4
Source: Materials Project
Functional: PBE
Structure: optimized geometry

Unit cell a=6.912 b=6.912 c=6.912 alpha=99.46 beta=99.46 gamma=132.18
Atoms (fractional coordinates):
1 Rb 0.018 0.671 0.000
2 Rb 0.329 0.329 0.347
3 Rb 0.671 0.018 0.000
4 Rb 0.982 0.982 0.653
5 C 0.500 0.500 0.000
6 O 0.260 0.449 0.000
7 O 0.449 0.260 0.000
8 O 0.551 0.551 0.811
9 O 0.740 0.740 0.189

Its space group is I-42m (121). The value obtained for the formation energy is -1.565 eV/atom. The calculated volume is 224 Å³ per cell. The value obtained for the total energy is -44.28 eV/f.u.

---

No. 5
Compound: Rb4CO4
Source: Materials Project
Functional: PBE
Structure: optimized geometry

Unit cell a=6.455 b=6.455 c=6.111 alpha=113.11 beta=113.11 gamma=55.13
Atoms (fractional coordinates):
1 Rb 0.139 0.139 0.382
2 Rb 0.253 0.450 0.039
3 Rb 0.550 0.747 0.961
4 Rb 0.861 0.861 0.618
5 C 0.630 0.370 0.500
6 O 0.412 0.425 0.568
7 O 0.575 0.588 0.432
8 O 0.688 0.145 0.296
9 O 0.855 0.312 0.704

Its space group is C2 (5). The value obtained for the formation energy is -1.564 eV/atom. The calculated volume is 187 Å³ per cell. The value obtained for the total energy is -44.27 eV/f.u.

---

No. 6
Compound: Rb4CO4
Source: Materials Project
Functional: PBE
Structure: optimized geometry

Unit cell a=6.703 b=6.703 c=6.703 alpha=127.17 beta=127.17 gamma=77.97
Atoms (fractional coordinates):
1 Rb 0.145 0.145 0.580
2 Rb 0.435 0.855 0.000
3 Rb 0.565 0.565 0.420
4 Rb 0.855 0.435 0.000
5 C 0.000 0.000 0.000
6 O 0.056 0.780 0.000
7 O 0.220 0.220 0.277
8 O 0.780 0.056 0.000
9 O 0.944 0.944 0.723

Its space group is I-42m (121). The value obtained for the formation energy is -1.561 eV/atom. The calculated volume is 185 Å³ per cell. The value obtained for the total energy is -44.24 eV/f.u.

---

No. 7
Compound: Rb4CO4
Source: Materials Project
Functional: PBE
Structure: optimized geometry

Unit cell a=6.243 b=6.243 c=5.906 alpha=98.02 beta=98.02 gamma=112.30
Atoms (fractional coordinates):
1 Rb 0.000 0.000 0.000
2 Rb 0.222 0.740 0.557
3 Rb 0.523 0.523 0.189
4 Rb 0.740 0.222 0.557
5 C 0.334 0.334 0.693
6 O 0.177 0.403 0.813
7 O 0.215 0.215 0.455
8 O 0.403 0.177 0.813
9 O 0.543 0.543 0.694

Its space group is Cm (8). The value obtained for the formation energy is -1.545 eV/atom. The calculated volume is 206 Å³ per cell. The value obtained for the total energy is -44.10 eV/f.u.

---

No. 8
Compound: Rb2CO3
Source: Materials Project
Functional: PBE
Structure: optimized geometry

Unit cell a=5.977 b=10.188 c=7.652 alpha=90.00 beta=95.76 gamma=90.00
Atoms (fractional coordinates):
1 Rb 0.242 0.082 0.182
2 Rb 0.242 0.418 0.682
3 Rb 0.257 0.725 0.022
4 Rb 0.257 0.775 0.522
5 Rb 0.743 0.225 0.478
6 Rb 0.743 0.275 0.978
7 Rb 0.758 0.582 0.318
8 Rb 0.758 0.918 0.818
9 C 0.251 0.084 0.761
10 C 0.251 0.416 0.261
11 C 0.749 0.584 0.739
12 C 0.749 0.916 0.239
13 O 0.068 0.152 0.774
14 O 0.068 0.348 0.274
15 O 0.259 0.539 0.310
16 O 0.259 0.961 0.810
17 O 0.427 0.139 0.703
18 O 0.427 0.361 0.203
19 O 0.573 0.639 0.797
20 O 0.573 0.861 0.297
21 O 0.741 0.039 0.190
22 O 0.741 0.461 0.690
23 O 0.932 0.652 0.726
24 O 0.932 0.848 0.226

Its space group is P2_1/c (14). The value obtained for the formation energy is -2.085 eV/atom. The calculated volume is 464 Å³ per cell. The value obtained for the total energy is -36.48 eV/f.u.

---

No. 9
Compound: Rb8C4O7
Source: Materials Project
Functional: PBE
Structure: optimized geometry

Unit cell a=5.998 b=15.103 c=6.030 alpha=90.00 beta=114.60 gamma=90.00
Atoms (fractional coordinates):
1 Rb 0.000 0.000 0.000
2 Rb 0.050 0.500 0.932
3 Rb 0.328 0.238 0.683
4 Rb 0.328 0.762 0.683
5 Rb 0.646 0.373 0.250
6 Rb 0.646 0.627 0.250
7 Rb 0.648 0.132 0.347
8 Rb 0.648 0.868 0.347
9 C 0.026 0.257 0.061
10 C 0.026 0.743 0.061
11 C 0.437 0.000 0.685
12 C 0.458 0.500 0.751
13 O 0.015 0.360 0.651
14 O 0.015 0.640 0.651
15 O 0.256 0.241 0.147
16 O 0.256 0.759 0.147
17 O 0.439 0.500 0.552
18 O 0.865 0.200 0.049
19 O 0.865 0.800 0.049

Its space group is Pm (6). The value obtained for the formation energy is -0.736 eV/atom. The calculated volume is 497 Å³ per cell. The value obtained for the total energy is -88.57 eV/f.u.

---

No. 10
Compound: Rb4CO4
Source: Materials Project
Functional: PBE
Structure: optimized geometry

Unit cell a=5.802 b=5.802 c=7.049 alpha=105.06 beta=105.06 gamma=89.29
Atoms (fractional coordinates):
1 Rb 0.243 0.757 0.000
2 Rb 0.369 0.880 0.515
3 Rb 0.757 0.243 0.000
4 Rb 0.880 0.369 0.515
5 C 0.347 0.347 0.203
6 O 0.158 0.445 0.287
7 O 0.256 0.256 0.981
8 O 0.445 0.158 0.287
9 O 0.532 0.532 0.249

Its space group is Cm (8). The value obtained for the formation energy is -1.511 eV/atom. The calculated volume is 221 Å³ per cell. The value obtained for the total energy is -43.79 eV/f.u.

---

No. 11
Compound: Rb4CO4
Source: Materials Project
Functional: PBE
Structure: optimized geometry

Unit cell a=6.610 b=6.610 c=4.984 alpha=90.00 beta=90.00 gamma=90.00
Atoms (fractional coordinates):
1 Rb 0.196 0.290 0.332
2 Rb 0.290 0.804 0.668
3 Rb 0.710 0.196 0.668
4 Rb 0.804 0.710 0.332
5 C 0.000 0.000 0.000
6 O 0.101 0.147 0.833
7 O 0.147 0.899 0.167
8 O 0.853 0.101 0.167
9 O 0.899 0.853 0.833

Its space group is P-4 (81). The value obtained for the formation energy is -1.513 eV/atom. The calculated volume is 218 Å³ per cell. The value obtained for the total energy is -43.81 eV/f.u.

---

No. 12
Compound: Rb4CO4
Source: Materials Project
Functional: PBE
Structure: optimized geometry

Unit cell a=7.060 b=5.764 c=8.586 alpha=90.00 beta=91.23 gamma=90.00
Atoms (fractional coordinates):
1 Rb 0.010 0.000 0.338
2 Rb 0.124 0.492 0.091
3 Rb 0.416 0.449 0.554
4 Rb 0.452 0.996 0.088
5 Rb 0.548 0.496 0.912
6 Rb 0.584 0.949 0.446
7 Rb 0.876 0.992 0.909
8 Rb 0.990 0.500 0.662
9 C 0.294 0.981 0.758
10 C 0.706 0.481 0.242
11 O 0.223 0.971 0.600
12 O 0.229 0.785 0.843
13 O 0.232 0.190 0.830
14 O 0.498 0.479 0.241
15 O 0.502 0.979 0.759
16 O 0.768 0.690 0.170
17 O 0.771 0.285 0.157
18 O 0.777 0.471 0.400

Its space group is P2_1 (4). The value obtained for the formation energy is -1.572 eV/atom. The calculated volume is 349 Å³ per cell. The value obtained for the total energy is -44.34 eV/f.u.